Computed, not measured: a relaxed Nb3Co2Si crystal at the PBE level of DFT.

a = 7.913 Å, b = 7.913 Å, c = 7.913 Å
α = 60.00°, β = 60.00°, γ = 60.00°
Fractional coordinates of all 24 atoms:
Si  0.125  0.625  0.125
Nb  0.951  0.951  0.549
Nb  0.951  0.549  0.549
Si  0.125  0.125  0.625
Co  0.917  0.917  0.917
Si  0.125  0.125  0.125
Nb  0.701  0.299  0.299
Nb  0.299  0.299  0.701
Co  0.917  0.917  0.248
Nb  0.549  0.951  0.951
Nb  0.701  0.701  0.299
Nb  0.951  0.549  0.951
Co  0.248  0.917  0.917
Nb  0.549  0.951  0.549
Nb  0.299  0.701  0.701
Si  0.625  0.125  0.125
Co  0.333  0.333  0.002
Nb  0.299  0.701  0.299
Nb  0.549  0.549  0.951
Co  0.333  0.333  0.333
Co  0.917  0.248  0.917
Co  0.333  0.002  0.333
Nb  0.701  0.299  0.701
Co  0.002  0.333  0.333

Computed properties:
formation energy from the elements	-0.364	eV per atom
crystal system	cubic
magnetization	0.00	μB per atom
electronic total energy	-208.8	eV for the cell shown